1.
A plane-wave DFT calculation with r2SCAN was carried out for a relaxed structure of MoC.

Cell lengths 2.912, 2.912, 2.820 Å; angles 90.00, 90.00, 120.00 degrees
Positions (direct):
Mo 0.000 0.000 0.000
C 0.333 0.667 0.500

**Total energy**: -18.1700 eV/atom
**Formation enthalpy at 0 K**: -0.160 eV per atom



2.
A plane-wave DFT calculation with r2SCAN was carried out for a relaxed structure of Ge2Os.

Cell lengths 3.114, 4.762, 6.952 Å; angles 80.03, 77.06, 70.92 degrees
Positions (direct):
Ge 0.601 0.689 0.109
Ge 0.399 0.311 0.891
Ge 0.856 0.756 0.532
Ge 0.144 0.244 0.468
Os 0.155 0.892 0.799
Os 0.845 0.108 0.201

**Total energy**: -26.9932 eV/atom
**Formation enthalpy at 0 K**: -0.083 eV per atom



3.
A plane-wave DFT calculation with r2SCAN was carried out for a relaxed structure of Ba8P5Br.

Cell lengths 8.572, 8.572, 8.572 Å; angles 109.27, 109.27, 109.87 degrees
Positions (direct):
P 0.380 0.244 0.625
P 0.245 0.620 0.364
P 0.119 0.755 0.875
P 0.625 0.375 0.250
P 0.756 0.881 0.136
Ba 0.493 0.999 0.878
Ba 0.621 0.615 0.622
Ba 0.860 0.517 0.004
Ba 0.144 0.140 0.157
Ba 0.001 0.379 0.495
Ba 0.013 0.856 0.496
Ba 0.385 0.507 0.005
Ba 0.483 0.987 0.343
Br 0.875 0.125 0.750

**Total energy**: -20.6507 eV/atom
**Formation enthalpy at 0 K**: -1.346 eV per atom



Number 1: size of the total moment 0.0 μB/f.u.. Number 2: size of the total moment 0.0 μB/f.u.. Number 3: size of the total moment 0.0 μB/f.u..